# Gd2MgCd (PBE, relaxed)
data_Gd2MgCd
_chemical_formula_sum 'Gd8 Mg4 Cd4'
_cell_length_a 7.541
_cell_length_b 7.541
_cell_length_c 7.541
_cell_angle_alpha 90.00
_cell_angle_beta 90.00
_cell_angle_gamma 90.00
_symmetry_space_group_name_H-M 'F m -3 m'
_symmetry_Int_Tables_number 225
_symmetry_space_group_name_Hall '-F 4 2 3'
loop_
_atom_site_label
_atom_site_fract_x
_atom_site_fract_y
_atom_site_fract_z
Gd1 0.250 0.250 0.250
Mg1 0.000 0.000 0.000
Cd1 0.000 0.000 0.500
# Energy of formation from the pure elements (eV/atom): -0.22


# Li3TiF6 (PBE, relaxed)
data_Li3TiF6
_chemical_formula_sum 'Li36 Ti12 F72'
_cell_length_a 14.665
_cell_length_b 8.901
_cell_length_c 10.290
_cell_angle_alpha 90.00
_cell_angle_beta 96.48
_cell_angle_gamma 90.00
_symmetry_space_group_name_H-M 'C 1 2/c 1'
_symmetry_Int_Tables_number 15
loop_
_symmetry_equiv_pos_as_xyz
'x,y,z'
'-x,-y,-z'
'-x,y,-z+1/2'
'x,-y,z+1/2'
'x+1/2,y+1/2,z'
'-x+1/2,-y+1/2,-z'
'-x+1/2,y+1/2,-z+1/2'
'x+1/2,-y+1/2,z+1/2'
loop_
_atom_site_label
_atom_site_fract_x
_atom_site_fract_y
_atom_site_fract_z
Li1 0.000 0.197 0.250
Li2 0.019 0.348 0.526
Li3 0.140 0.154 0.780
Li4 0.170 0.300 0.048
Li5 0.202 0.143 0.429
Ti1 0.000 0.000 0.000
Ti2 0.162 0.497 0.292
F1 0.072 0.002 0.667
F2 0.073 0.170 0.429
F3 0.076 0.172 0.939
F4 0.079 0.490 0.935
F5 0.091 0.336 0.188
F6 0.100 0.342 0.689
F7 0.231 0.333 0.887
F8 0.239 0.347 0.393
F9 0.247 0.024 0.844
# Energy of formation from the pure elements (eV/atom): -3.35


# Li10CuSi2O10 (PBE, relaxed)
data_Li10CuSi2O10
_chemical_formula_sum 'Li20 Cu2 Si4 O20'
_cell_length_a 5.157
_cell_length_b 6.135
_cell_length_c 15.422
_cell_angle_alpha 78.57
_cell_angle_beta 80.56
_cell_angle_gamma 89.93
_symmetry_space_group_name_H-M 'P 1'
_symmetry_Int_Tables_number 1
loop_
_symmetry_equiv_pos_as_xyz
'x,y,z'
loop_
_atom_site_label
_atom_site_fract_x
_atom_site_fract_y
_atom_site_fract_z
Li1 0.000 0.000 0.000
Li2 0.002 0.575 0.000
Li3 0.024 0.158 0.254
Li4 0.079 0.387 0.805
Li5 0.151 0.705 0.657
Li6 0.155 0.213 0.658
Li7 0.360 0.094 0.875
Li8 0.363 0.603 0.876
Li9 0.435 0.921 0.728
Li10 0.492 0.150 0.279
Li11 0.514 0.733 0.533
Li12 0.515 0.309 0.532
Li13 0.529 0.789 0.996
Li14 0.634 0.438 0.113
Li15 0.638 0.021 0.118
Li16 0.688 0.322 0.919
Li17 0.826 0.987 0.615
Li18 0.877 0.287 0.414
Li19 0.885 0.870 0.420
Li20 0.986 0.518 0.537
Cu1 0.679 0.622 0.342
Cu2 0.840 0.688 0.191
Si1 0.253 0.254 0.064
Si2 0.263 0.053 0.469
Si3 0.627 0.433 0.705
Si4 0.888 0.874 0.828
O1 0.033 0.926 0.721
O2 0.135 0.809 0.525
O3 0.136 0.239 0.527
O4 0.167 0.102 0.370
O5 0.349 0.205 0.163
O6 0.378 0.067 0.007
O7 0.381 0.498 0.007
O8 0.482 0.381 0.812
O9 0.534 0.682 0.656
O10 0.538 0.232 0.656
O11 0.564 0.866 0.841
O12 0.585 0.054 0.467
O13 0.718 0.557 0.461
O14 0.757 0.904 0.264
O15 0.759 0.405 0.268
O16 0.798 0.751 0.072
O17 0.930 0.254 0.066
O18 0.950 0.441 0.692
O19 0.977 0.076 0.877
O20 0.981 0.625 0.877
# Energy of formation from the pure elements (eV/atom): -2.40